This record from Materials Project describes crystalline MgAl2Co2O6 at its relaxed geometry. The functional is PBE with a Hubbard U.

Properties
crystal system: triclinic
energy of formation: -238 kJ/mol of atoms
energy above the lowest structure with this stoichiometry: 0.000 eV per atom
ρ: 4507 kg/m3

Lattice parameters (Å, degrees): 5.095 5.101 5.610 90.14 116.93 119.90
Element x y z (fractional)
Mg  0.000  0.000  0.000
Al  0.259  0.629  0.886
Al  0.615  0.807  0.424
Co  0.535  0.268  0.802
Co  0.903  0.447  0.355
O  0.061  0.214  0.661
O  0.134  0.435  0.146
O  0.444  0.010  0.145
O  0.447  0.847  0.661
O  0.711  0.701  0.145
O  0.814  0.600  0.659